Record 1
An optimized crystal structure of PuB2Ir3, computed with PBE.

Summary:
total moment	4.945	μB per cell
energy of formation	-0.550	eV/atom

Lattice parameters (Å, degrees): 3.125 5.480 5.480 120.00 90.00 90.00
Element x y z (fractional)
Pu  0.500  0.000  0.000
B  0.500  0.667  0.333
B  0.500  0.333  0.667
Ir  0.000  0.000  0.500
Ir  0.000  0.500  0.500
Ir  0.000  0.500  0.000



Record 2
An optimized crystal structure of ScB4Ir3, computed with PBE.

Summary:
energy of formation	-0.586	eV/atom

Lattice parameters (Å, degrees): 7.631 7.631 3.467 90.00 90.00 120.00
Element x y z (fractional)
Sc  0.333  0.667  0.750
Sc  0.667  0.333  0.250
B  0.598  0.548  0.750
B  0.050  0.598  0.250
B  0.548  0.950  0.250
B  0.452  0.050  0.750
B  0.000  0.000  0.000
B  0.402  0.452  0.250
B  0.000  0.000  0.500
B  0.950  0.402  0.750
Ir  0.747  0.076  0.750
Ir  0.329  0.253  0.750
Ir  0.671  0.747  0.250
Ir  0.076  0.329  0.250
Ir  0.253  0.924  0.250
Ir  0.924  0.671  0.750



Record 3
An optimized crystal structure of Sc2B6Ir, computed with PBE.

Summary:
energy of formation	-0.733	eV/atom

Lattice parameters (Å, degrees): 3.470 8.927 11.216 90.00 90.00 90.00
Element x y z (fractional)
Sc  0.500  0.318  0.414
Sc  0.500  0.682  0.586
Sc  0.500  0.182  0.914
Sc  0.500  0.818  0.086
Sc  0.500  0.445  0.125
Sc  0.500  0.555  0.875
Sc  0.500  0.055  0.625
Sc  0.500  0.945  0.375
B  0.000  0.104  0.472
B  0.000  0.896  0.528
B  0.000  0.396  0.972
B  0.000  0.604  0.028
B  0.000  0.132  0.319
B  0.000  0.868  0.681
B  0.000  0.368  0.819
B  0.000  0.632  0.181
B  0.000  0.054  0.064
B  0.000  0.946  0.936
B  0.000  0.446  0.564
B  0.000  0.554  0.436
B  0.000  0.481  0.287
B  0.000  0.519  0.713
B  0.000  0.019  0.787
B  0.000  0.981  0.213
B  0.000  0.253  0.077
B  0.000  0.747  0.923
B  0.000  0.247  0.577
B  0.000  0.753  0.423
B  0.000  0.297  0.236
B  0.000  0.703  0.764
B  0.000  0.203  0.736
B  0.000  0.797  0.264
Ir  0.500  0.141  0.179
Ir  0.500  0.859  0.821
Ir  0.500  0.359  0.679
Ir  0.500  0.641  0.321



Record 4
An optimized crystal structure of ScB2Ir3, computed with PBE.

Summary:
energy of formation	-0.620	eV/atom

Lattice parameters (Å, degrees): 5.467 5.467 3.063 90.00 90.00 120.00
Element x y z (fractional)
Sc  0.000  0.000  0.500
B  0.667  0.333  0.500
B  0.333  0.667  0.500
Ir  0.500  0.000  0.000
Ir  0.500  0.500  0.000
Ir  0.000  0.500  0.000



Record 5
An optimized crystal structure of Sc3B2Ir5, computed with PBE.

Summary:
energy of formation	-0.886	eV/atom

Lattice parameters (Å, degrees): 3.100 9.597 9.597 90.00 90.00 90.00
Element x y z (fractional)
Sc  0.000  0.175  0.675
Sc  0.000  0.825  0.325
Sc  0.000  0.325  0.175
Sc  0.000  0.675  0.825
Sc  0.000  0.000  0.000
Sc  0.000  0.500  0.500
B  0.000  0.623  0.123
B  0.000  0.377  0.877
B  0.000  0.877  0.623
B  0.000  0.123  0.377
Ir  0.500  0.071  0.222
Ir  0.500  0.929  0.778
Ir  0.500  0.778  0.071
Ir  0.500  0.429  0.722
Ir  0.500  0.222  0.929
Ir  0.500  0.571  0.278
Ir  0.500  0.722  0.571
Ir  0.500  0.278  0.429
Ir  0.500  0.000  0.500
Ir  0.500  0.500  0.000



Record 6
An optimized crystal structure of Sc2SiB2Ir5, computed with PBE.

Summary:
total moment	0.009	μB per cell
energy of formation	-0.867	eV/atom

Lattice parameters (Å, degrees): 9.247 9.247 3.134 90.00 90.00 90.00
Element x y z (fractional)
Sc  0.175  0.675  0.000
Sc  0.675  0.825  0.000
Sc  0.325  0.175  0.000
Sc  0.825  0.325  0.000
Si  0.000  0.000  0.000
Si  0.500  0.500  0.000
B  0.376  0.876  0.000
B  0.876  0.624  0.000
B  0.124  0.376  0.000
B  0.624  0.124  0.000
Ir  0.000  0.500  0.500
Ir  0.500  0.000  0.500
Ir  0.288  0.430  0.500
Ir  0.712  0.570  0.500
Ir  0.570  0.288  0.500
Ir  0.430  0.712  0.500
Ir  0.930  0.788  0.500
Ir  0.788  0.070  0.500
Ir  0.212  0.930  0.500
Ir  0.070  0.212  0.500



Record 7
An optimized crystal structure of SmB2Ir3, computed with PBE.

Summary:
energy of formation	-0.665	eV/atom

Lattice parameters (Å, degrees): 5.516 5.516 3.154 90.00 90.00 120.00
Element x y z (fractional)
Sm  0.000  0.000  0.500
B  0.667  0.333  0.500
B  0.333  0.667  0.500
Ir  0.500  0.000  0.000
Ir  0.500  0.500  0.000
Ir  0.000  0.500  0.000



Record 8
An optimized crystal structure of SmB2Ir2, computed with PBE.

Summary:
total moment	0.002	μB per cell
energy of formation	-0.382	eV/atom

Lattice parameters (Å, degrees): 6.505 6.505 8.365 112.81 112.81 90.18
Element x y z (fractional)
Sm  0.625  0.875  0.750
Sm  0.125  0.875  0.750
Sm  0.125  0.375  0.250
Sm  0.125  0.875  0.250
B  0.390  0.251  0.783
B  0.393  0.532  0.783
B  0.749  0.610  0.217
B  0.860  0.499  0.717
B  0.468  0.607  0.217
B  0.857  0.218  0.717
B  0.501  0.140  0.283
B  0.782  0.143  0.283
Ir  0.181  0.468  0.938
Ir  0.757  0.471  0.938
Ir  0.532  0.819  0.062
Ir  0.069  0.282  0.562
Ir  0.529  0.243  0.062
Ir  0.493  0.279  0.562
Ir  0.718  0.931  0.438
Ir  0.721  0.507  0.438



Record 9
An optimized crystal structure of SmB2Ir2, computed with PBE.

Summary:
energy of formation	-0.741	eV/atom

Lattice parameters (Å, degrees): 7.164 6.164 5.560 75.13 56.27 48.60
Element x y z (fractional)
Sm  0.500  0.500  0.500
Sm  0.750  0.750  0.750
B  0.179  0.821  0.179
B  0.071  0.429  0.071
B  0.821  0.179  0.821
B  0.429  0.071  0.429
Ir  0.872  0.872  0.128
Ir  0.128  0.128  0.872
Ir  0.378  0.378  0.122
Ir  0.122  0.122  0.378



Record 10
An optimized crystal structure of Sn4B3Ir7, computed with PBE.

Summary:
energy of formation	-0.287	eV/atom

Lattice parameters (Å, degrees): 9.384 9.384 5.693 90.00 90.00 120.00
Element x y z (fractional)
Sn  0.502  0.092  0.750
Sn  0.092  0.590  0.250
Sn  0.908  0.410  0.750
Sn  0.590  0.498  0.750
Sn  0.498  0.908  0.250
Sn  0.333  0.667  0.750
Sn  0.410  0.502  0.250
Sn  0.667  0.333  0.250
B  0.828  0.791  0.250
B  0.963  0.172  0.250
B  0.209  0.037  0.250
B  0.791  0.963  0.750
B  0.037  0.828  0.750
B  0.172  0.209  0.750
Ir  0.124  0.354  0.999
Ir  0.769  0.124  0.499
Ir  0.769  0.124  0.001
Ir  0.646  0.769  0.501
Ir  0.124  0.354  0.501
Ir  0.876  0.646  0.001
Ir  0.354  0.231  0.001
Ir  0.231  0.876  0.501
Ir  0.876  0.646  0.499
Ir  0.354  0.231  0.499
Ir  0.231  0.876  0.999
Ir  0.000  0.000  0.500
Ir  0.000  0.000  0.000
Ir  0.646  0.769  0.999



Record 11
An optimized crystal structure of Sn5B2Ir6, computed with PBE.

Summary:
energy of formation	-0.290	eV/atom

Lattice parameters (Å, degrees): 6.715 6.715 5.652 90.00 90.00 120.00
Element x y z (fractional)
Sn  0.667  0.333  0.500
Sn  0.000  0.596  0.000
Sn  0.404  0.404  0.000
Sn  0.596  0.000  0.000
Sn  0.333  0.667  0.500
B  0.000  0.000  0.500
B  0.000  0.000  0.000
Ir  0.000  0.252  0.745
Ir  0.000  0.252  0.255
Ir  0.748  0.748  0.255
Ir  0.252  0.000  0.745
Ir  0.252  0.000  0.255
Ir  0.748  0.748  0.745



Record 12
An optimized crystal structure of SrB2Ir2, computed with PBE.

Summary:
energy of formation	-0.629	eV/atom

Lattice parameters (Å, degrees): 5.633 5.633 6.198 105.47 105.47 114.39
Element x y z (fractional)
Sr  0.500  0.500  0.000
Sr  0.750  0.250  0.500
B  0.174  0.826  0.000
B  0.424  0.576  0.500
B  0.826  0.174  0.000
B  0.076  0.924  0.500
Ir  0.869  0.869  0.738
Ir  0.119  0.619  0.238
Ir  0.381  0.881  0.762
Ir  0.131  0.131  0.262